No. 1
## ZnCuW2O7 (PBE with a Hubbard U)

Data for a relaxed structure of ZnCuW2O7.

Cell lengths 8.533, 10.899, 10.933 Å; angles 84.87, 90.00, 90.00 degrees
Fractional coordinates of all 66 atoms:
O (0.089, 0.731, 0.235)
O (0.411, 0.815, 0.197)
O (0.716, 0.801, 0.946)
O (0.411, 0.185, 0.303)
O (0.094, 0.526, 0.618)
O (0.754, 0.853, 0.195)
O (0.911, 0.731, 0.735)
O (0.750, 0.515, 0.869)
O (0.059, 0.147, 0.546)
O (0.341, 0.313, 0.570)
O (0.432, 0.558, 0.617)
O (0.246, 0.853, 0.695)
O (0.589, 0.185, 0.803)
O (0.250, 0.485, 0.131)
O (0.568, 0.442, 0.383)
O (0.403, 0.935, 0.937)
O (0.284, 0.199, 0.054)
O (0.750, 0.485, 0.631)
O (0.716, 0.199, 0.554)
O (0.906, 0.474, 0.382)
O (0.911, 0.269, 0.765)
O (0.941, 0.853, 0.454)
O (0.941, 0.147, 0.046)
O (0.568, 0.558, 0.117)
O (0.173, 0.000, 0.250)
O (0.403, 0.065, 0.563)
O (0.754, 0.147, 0.305)
O (0.659, 0.687, 0.430)
O (0.906, 0.526, 0.118)
O (0.059, 0.853, 0.954)
O (0.827, 0.000, 0.750)
O (0.659, 0.313, 0.070)
O (0.341, 0.687, 0.930)
O (0.094, 0.474, 0.882)
O (0.432, 0.442, 0.883)
O (0.250, 0.515, 0.369)
O (0.597, 0.935, 0.437)
O (0.246, 0.147, 0.805)
O (0.284, 0.801, 0.446)
O (0.597, 0.065, 0.063)
O (0.589, 0.815, 0.697)
O (0.089, 0.269, 0.265)
Cu (0.071, 0.176, 0.908)
Cu (0.432, 0.500, 0.250)
Cu (0.929, 0.824, 0.092)
Cu (0.568, 0.500, 0.750)
Cu (0.929, 0.176, 0.408)
Cu (0.071, 0.824, 0.592)
Zn (0.432, 0.879, 0.566)
Zn (0.064, 0.500, 0.250)
Zn (0.568, 0.879, 0.066)
Zn (0.432, 0.121, 0.934)
Zn (0.568, 0.121, 0.434)
Zn (0.936, 0.500, 0.750)
W (0.729, 0.482, 0.039)
W (0.763, 0.832, 0.785)
W (0.237, 0.168, 0.215)
W (0.241, 0.161, 0.631)
W (0.763, 0.168, 0.715)
W (0.241, 0.839, 0.869)
W (0.729, 0.518, 0.461)
W (0.759, 0.839, 0.369)
W (0.759, 0.161, 0.131)
W (0.237, 0.832, 0.285)
W (0.271, 0.482, 0.539)
W (0.271, 0.518, 0.961)



No. 2
## Zn2CuWO6 (PBE with a Hubbard U)

Data for a relaxed structure of Zn2CuWO6.

Output
Largest piezoelectric modulus in C/m2: 1.57
Offset from the most stable computed form in eV per atom: 0.000

Cell lengths 4.991, 5.377, 5.426 Å; angles 114.94, 116.12, 89.82 degrees
Fractional coordinates of all 10 atoms:
O (0.935, 0.731, 0.576)
O (0.343, 0.234, 0.107)
O (0.604, 0.678, 0.805)
O (0.999, 0.145, 0.375)
O (0.245, 0.740, 0.133)
O (0.694, 0.188, 0.811)
Cu (0.482, 0.483, 0.983)
W (0.992, 0.981, 0.988)
Zn (0.730, 0.342, 0.529)
Zn (0.288, 0.819, 0.537)



No. 3
## Zn2CuWO6 (PBE with a Hubbard U)

Data for a relaxed structure of Zn2CuWO6.

Output
Offset from the most stable computed form in eV per atom: 0.018

Cell lengths 5.121, 5.049, 9.857 Å; angles 60.05, 90.00, 90.00 degrees
Fractional coordinates of all 20 atoms:
O (0.195, 0.422, 0.900)
O (0.313, 0.774, 0.048)
O (0.305, 0.422, 0.400)
O (0.114, 0.164, 0.702)
O (0.805, 0.578, 0.100)
O (0.614, 0.836, 0.798)
O (0.386, 0.164, 0.202)
O (0.687, 0.226, 0.952)
O (0.813, 0.226, 0.452)
O (0.187, 0.774, 0.548)
O (0.886, 0.836, 0.298)
O (0.695, 0.578, 0.600)
Zn (0.475, 0.241, 0.763)
Zn (0.525, 0.759, 0.237)
Zn (0.975, 0.759, 0.737)
Zn (0.025, 0.241, 0.263)
Cu (0.500, 0.000, 0.500)
Cu (0.000, 0.000, 0.000)
W (0.500, 0.500, 0.000)
W (0.000, 0.500, 0.500)



No. 4
## ZnCu2W2O8 (PBE with a Hubbard U)

Data for a relaxed structure of ZnCu2W2O8.

Cell lengths 8.809, 6.544, 12.938 Å; angles 87.38, 90.00, 90.00 degrees
Fractional coordinates of all 52 atoms:
O (0.611, 0.008, 0.364)
O (0.425, 0.323, 0.462)
O (0.204, 0.906, 0.918)
O (0.236, 0.544, 0.597)
O (0.868, 0.795, 0.259)
O (0.632, 0.795, 0.759)
O (0.796, 0.094, 0.082)
O (0.764, 0.456, 0.403)
O (0.704, 0.094, 0.582)
O (0.603, 0.416, 0.113)
O (0.490, 0.158, 0.898)
O (0.948, 0.380, 0.205)
O (0.052, 0.620, 0.795)
O (0.552, 0.380, 0.705)
O (0.990, 0.842, 0.602)
O (0.075, 0.323, 0.962)
O (0.132, 0.205, 0.741)
O (0.736, 0.456, 0.903)
O (0.111, 0.992, 0.136)
O (0.103, 0.584, 0.387)
O (0.264, 0.544, 0.097)
O (0.925, 0.677, 0.038)
O (0.897, 0.416, 0.613)
O (0.510, 0.842, 0.102)
O (0.448, 0.620, 0.295)
O (0.889, 0.008, 0.864)
O (0.397, 0.584, 0.887)
O (0.296, 0.906, 0.418)
O (0.368, 0.205, 0.241)
O (0.389, 0.992, 0.636)
O (0.575, 0.677, 0.538)
O (0.010, 0.158, 0.398)
Zn (0.332, 0.604, 0.444)
Zn (0.168, 0.604, 0.944)
Zn (0.668, 0.396, 0.556)
Zn (0.832, 0.396, 0.056)
W (0.423, 0.112, 0.371)
W (0.923, 0.888, 0.129)
W (0.577, 0.888, 0.629)
W (0.452, 0.595, 0.155)
W (0.952, 0.405, 0.345)
W (0.048, 0.595, 0.655)
W (0.077, 0.112, 0.871)
W (0.548, 0.405, 0.845)
Cu (0.451, 0.874, 0.887)
Cu (0.815, 0.731, 0.864)
Cu (0.049, 0.874, 0.387)
Cu (0.549, 0.126, 0.113)
Cu (0.185, 0.269, 0.136)
Cu (0.315, 0.269, 0.636)
Cu (0.951, 0.126, 0.613)
Cu (0.685, 0.731, 0.364)



No. 5
## ZnCuW2O8 (PBE with a Hubbard U)

Data for a relaxed structure of ZnCuW2O8.

Cell lengths 4.745, 5.011, 5.883 Å; angles 88.35, 86.01, 87.15 degrees
Fractional coordinates of all 12 atoms:
O (0.221, 0.072, 0.883)
O (0.745, 0.916, 0.639)
O (0.789, 0.448, 0.909)
O (0.266, 0.588, 0.628)
O (0.250, 0.082, 0.358)
O (0.786, 0.937, 0.112)
O (0.219, 0.565, 0.106)
O (0.735, 0.399, 0.385)
Cu (0.499, 0.246, 0.659)
W (0.004, 0.251, 0.171)
W (0.997, 0.756, 0.829)
Zn (0.489, 0.740, 0.322)



No. 6
## NaEuDyFeO6 (PBE with a Hubbard U)

Data for a relaxed structure of NaEuDyFeO6.

Cell lengths 5.690, 5.690, 5.690 Å; angles 60.00, 60.00, 60.00 degrees
Fractional coordinates of all 10 atoms:
O (0.270, 0.730, 0.730)
O (0.730, 0.270, 0.730)
O (0.270, 0.730, 0.270)
O (0.730, 0.730, 0.270)
O (0.270, 0.270, 0.730)
O (0.730, 0.270, 0.270)
Eu (0.750, 0.750, 0.750)
Dy (0.000, 0.000, 0.000)
Fe (0.500, 0.500, 0.500)
Na (0.250, 0.250, 0.250)



No. 7
## Eu2DyMnO6 (PBE with a Hubbard U)

Data for a relaxed structure of Eu2DyMnO6.

Cell lengths 5.750, 5.750, 5.750 Å; angles 60.00, 60.00, 60.00 degrees
Fractional coordinates of all 10 atoms:
O (0.733, 0.733, 0.267)
O (0.733, 0.267, 0.733)
O (0.733, 0.267, 0.267)
O (0.267, 0.733, 0.267)
O (0.267, 0.733, 0.733)
O (0.267, 0.267, 0.733)
Dy (0.000, 0.000, 0.000)
Mn (0.500, 0.500, 0.500)
Eu (0.750, 0.750, 0.750)
Eu (0.250, 0.250, 0.250)



No. 8
## SrEuDyMnO6 (PBE with a Hubbard U)

Data for a relaxed structure of SrEuDyMnO6.

Cell lengths 5.784, 5.784, 5.784 Å; angles 60.00, 60.00, 60.00 degrees
Fractional coordinates of all 10 atoms:
Eu (0.750, 0.750, 0.750)
O (0.267, 0.733, 0.267)
O (0.733, 0.267, 0.267)
O (0.733, 0.733, 0.267)
O (0.267, 0.733, 0.733)
O (0.733, 0.267, 0.733)
O (0.267, 0.267, 0.733)
Sr (0.250, 0.250, 0.250)
Mn (0.500, 0.500, 0.500)
Dy (0.000, 0.000, 0.000)



No. 9
## DyMoO4F (PBE with a Hubbard U)

Data for a relaxed structure of DyMoO4F.

Cell lengths 12.444, 5.270, 6.734 Å; angles 66.85, 90.00, 90.00 degrees
Fractional coordinates of all 28 atoms:
F (0.402, 0.545, 0.536)
F (0.098, 0.545, 0.036)
F (0.902, 0.455, 0.964)
F (0.598, 0.455, 0.464)
O (0.565, 0.691, 0.038)
O (0.435, 0.309, 0.962)
O (0.569, 0.996, 0.338)
O (0.153, 0.762, 0.593)
O (0.065, 0.309, 0.462)
O (0.223, 0.193, 0.795)
O (0.347, 0.762, 0.093)
O (0.277, 0.193, 0.295)
O (0.431, 0.004, 0.662)
O (0.777, 0.807, 0.205)
O (0.935, 0.691, 0.538)
O (0.723, 0.807, 0.705)
O (0.653, 0.238, 0.907)
O (0.847, 0.238, 0.407)
O (0.069, 0.004, 0.162)
O (0.931, 0.996, 0.838)
Mo (0.357, 0.079, 0.870)
Mo (0.143, 0.079, 0.370)
Mo (0.643, 0.921, 0.130)
Mo (0.857, 0.921, 0.630)
Dy (0.449, 0.361, 0.300)
Dy (0.949, 0.639, 0.200)
Dy (0.051, 0.361, 0.800)
Dy (0.551, 0.639, 0.700)



No. 10
## DyFeGe2O7 (PBE with a Hubbard U)

Data for a relaxed structure of DyFeGe2O7.

Cell lengths 8.681, 6.742, 9.819 Å; angles 79.40, 90.00, 90.00 degrees
Fractional coordinates of all 44 atoms:
O (0.750, 0.657, 0.384)
O (0.250, 0.151, 0.381)
O (0.414, 0.540, 0.859)
O (0.750, 0.849, 0.619)
O (0.427, 0.028, 0.140)
O (0.750, 0.849, 0.121)
O (0.750, 0.657, 0.886)
O (0.927, 0.972, 0.860)
O (0.586, 0.460, 0.141)
O (0.573, 0.532, 0.641)
O (0.085, 0.958, 0.638)
O (0.914, 0.460, 0.141)
O (0.073, 0.468, 0.359)
O (0.250, 0.343, 0.616)
O (0.250, 0.751, 0.434)
O (0.250, 0.343, 0.114)
O (0.915, 0.042, 0.362)
O (0.250, 0.151, 0.879)
O (0.427, 0.468, 0.359)
O (0.573, 0.972, 0.860)
O (0.585, 0.042, 0.362)
O (0.250, 0.747, 0.062)
O (0.073, 0.028, 0.140)
O (0.750, 0.253, 0.938)
O (0.927, 0.532, 0.641)
O (0.415, 0.958, 0.638)
O (0.086, 0.540, 0.859)
O (0.750, 0.249, 0.566)
Ge (0.750, 0.523, 0.554)
Ge (0.250, 0.477, 0.446)
Ge (0.750, 0.048, 0.469)
Ge (0.250, 0.952, 0.531)
Ge (0.750, 0.980, 0.950)
Ge (0.250, 0.020, 0.050)
Ge (0.750, 0.454, 0.033)
Ge (0.250, 0.546, 0.967)
Fe (0.055, 0.249, 0.249)
Fe (0.445, 0.249, 0.249)
Fe (0.945, 0.751, 0.751)
Fe (0.555, 0.751, 0.751)
Dy (0.043, 0.250, 0.747)
Dy (0.457, 0.250, 0.747)
Dy (0.543, 0.750, 0.253)
Dy (0.957, 0.750, 0.253)



No. 11
## KLaDyFeO6 (PBE with a Hubbard U)

Data for a relaxed structure of KLaDyFeO6.

Cell lengths 5.735, 5.735, 5.735 Å; angles 60.00, 60.00, 60.00 degrees
Fractional coordinates of all 10 atoms:
K (0.750, 0.750, 0.750)
O (0.269, 0.731, 0.731)
O (0.269, 0.731, 0.269)
O (0.731, 0.731, 0.269)
O (0.731, 0.269, 0.731)
O (0.731, 0.269, 0.269)
O (0.269, 0.269, 0.731)
Fe (0.500, 0.500, 0.500)
Dy (0.000, 0.000, 0.000)
La (0.250, 0.250, 0.250)



No. 12
## KPrDyFeO6 (PBE with a Hubbard U)

Data for a relaxed structure of KPrDyFeO6.

Cell lengths 5.720, 5.720, 5.720 Å; angles 60.00, 60.00, 60.00 degrees
Fractional coordinates of all 10 atoms:
O (0.269, 0.731, 0.269)
O (0.269, 0.731, 0.731)
O (0.731, 0.269, 0.269)
O (0.731, 0.731, 0.269)
O (0.269, 0.269, 0.731)
O (0.731, 0.269, 0.731)
K (0.750, 0.750, 0.750)
Pr (0.250, 0.250, 0.250)
Fe (0.500, 0.500, 0.500)
Dy (0.000, 0.000, 0.000)



No. 13
## NaLaDyFeO6 (PBE with a Hubbard U)

Data for a relaxed structure of NaLaDyFeO6.

Cell lengths 5.695, 5.695, 5.695 Å; angles 60.00, 60.00, 60.00 degrees
Fractional coordinates of all 10 atoms:
O (0.269, 0.731, 0.731)
O (0.269, 0.269, 0.731)
O (0.731, 0.731, 0.269)
O (0.269, 0.731, 0.269)
O (0.731, 0.269, 0.731)
O (0.731, 0.269, 0.269)
Dy (0.000, 0.000, 0.000)
Na (0.250, 0.250, 0.250)
Fe (0.500, 0.500, 0.500)
La (0.750, 0.750, 0.750)



No. 14
## DyMnFeO5 (PBE with a Hubbard U)

Data for a relaxed structure of DyMnFeO5.

Cell lengths 5.792, 7.348, 8.611 Å; angles 90.00, 90.00, 90.00 degrees
Fractional coordinates of all 32 atoms:
O (0.500, 0.838, 0.443)
O (0.740, 0.894, 0.705)
O (0.000, 0.850, 0.429)
O (0.740, 0.106, 0.295)
O (0.740, 0.606, 0.205)
O (0.260, 0.106, 0.295)
O (0.000, 0.650, 0.929)
O (0.233, 0.000, 0.000)
O (0.260, 0.606, 0.205)
O (0.260, 0.394, 0.795)
O (0.500, 0.162, 0.557)
O (0.500, 0.338, 0.057)
O (0.500, 0.662, 0.943)
O (0.000, 0.150, 0.571)
O (0.767, 0.000, 0.000)
O (0.740, 0.394, 0.795)
O (0.233, 0.500, 0.500)
O (0.767, 0.500, 0.500)
O (0.260, 0.894, 0.705)
O (0.000, 0.350, 0.071)
Mn (0.749, 0.000, 0.500)
Mn (0.251, 0.000, 0.500)
Mn (0.749, 0.500, 0.000)
Mn (0.251, 0.500, 0.000)
Dy (0.500, 0.634, 0.669)
Dy (0.500, 0.134, 0.831)
Dy (0.500, 0.366, 0.331)
Dy (0.500, 0.866, 0.169)
Fe (0.000, 0.607, 0.354)
Fe (0.000, 0.393, 0.646)
Fe (0.000, 0.107, 0.146)
Fe (0.000, 0.893, 0.854)



Number 1: MP2020-corrected energy -7.6466 eV per atom. Number 2: MP2020-corrected energy -6.6274 eV per atom. Number 3: MP2020-corrected energy -6.6093 eV per atom. Number 4: MP2020-corrected energy -7.3786 eV per atom. Number 5: MP2020-corrected energy -7.7799 eV per atom. Number 6: MP2020-corrected energy -7.7526 eV per atom. Number 7: MP2020-corrected energy -9.3512 eV per atom. Number 8: MP2020-corrected energy -8.4416 eV per atom. Number 9: MP2020-corrected energy -8.3078 eV per atom. Number 10: MP2020-corrected energy -7.6590 eV per atom. Number 11: MP2020-corrected energy -7.4162 eV per atom. Number 12: MP2020-corrected energy -7.3434 eV per atom. Number 13: MP2020-corrected energy -7.4231 eV per atom. Number 14: MP2020-corrected energy -8.3997 eV per atom.